Computed, not measured: a relaxed Ca2Pr4Mo6O21 crystal at the PBE with a Hubbard U level of DFT.

Structure (POSCAR):
```
Ca2Pr4Mo6O21
1.0
0.000 15.929 5.292
5.304 0.000 5.292
5.304 15.929 0.000
Ca Pr Mo O
4 8 12 42
Direct
0.082 0.918 0.837 Ca
0.087 0.413 0.332 Ca
0.413 0.087 0.168 Ca
0.918 0.082 0.163 Ca
0.081 0.417 0.837 Pr
0.254 0.760 0.497 Pr
0.413 0.585 0.169 Pr
0.417 0.081 0.665 Pr
0.585 0.413 0.833 Pr
0.753 0.762 0.996 Pr
0.760 0.254 0.488 Pr
0.762 0.753 0.490 Pr
0.086 0.921 0.331 Mo
0.252 0.254 0.998 Mo
0.252 0.753 0.998 Mo
0.254 0.252 0.497 Mo
0.417 0.587 0.665 Mo
0.585 0.919 0.833 Mo
0.587 0.417 0.331 Mo
0.588 0.919 0.329 Mo
0.753 0.252 0.996 Mo
0.919 0.585 0.663 Mo
0.919 0.588 0.164 Mo
0.921 0.086 0.662 Mo
0.008 0.343 0.160 O
0.008 0.744 0.161 O
0.028 0.229 0.772 O
0.045 0.715 0.791 O
0.078 0.078 0.422 O
0.085 0.679 0.419 O
0.089 0.163 0.242 O
0.090 0.761 0.242 O
0.124 0.124 0.876 O
0.149 0.605 0.882 O
0.163 0.089 0.506 O
0.168 0.495 0.499 O
0.229 0.028 0.971 O
0.279 0.478 0.021 O
0.339 0.412 0.495 O
0.343 0.008 0.489 O
0.368 0.886 0.101 O
0.374 0.374 0.126 O
0.412 0.339 0.754 O
0.412 0.751 0.755 O
0.426 0.426 0.574 O
0.432 0.831 0.571 O
0.459 0.801 0.205 O
0.478 0.279 0.222 O
0.495 0.168 0.838 O
0.496 0.755 0.838 O
0.560 0.690 0.301 O
0.605 0.149 0.364 O
0.676 0.676 0.824 O
0.679 0.085 0.818 O
0.690 0.560 0.449 O
0.715 0.045 0.449 O
0.744 0.008 0.087 O
0.751 0.412 0.082 O
0.755 0.496 0.911 O
0.761 0.090 0.907 O
0.801 0.459 0.535 O
0.801 0.949 0.560 O
0.828 0.828 0.172 O
0.831 0.432 0.165 O
0.886 0.368 0.645 O
0.949 0.801 0.690 O
```

The value obtained for the raw total energy is -7.5913 eV/atom. The energy of formation from the pure elements is -2.79 eV per atom.

Computed, not measured: a relaxed Co3O2F4 crystal at the PBE with a Hubbard U level of DFT.

Structure (POSCAR):
```
Co3O2F4
1.0
4.688 0.000 0.000
0.000 4.701 0.000
-0.131 0.000 9.272
Co O F
6 4 8
Direct
0.207 0.000 0.423 Co
0.263 0.031 0.757 Co
0.278 0.067 0.079 Co
0.722 0.567 0.921 Co
0.737 0.531 0.243 Co
0.793 0.500 0.577 Co
0.057 0.223 0.588 O
0.438 0.872 0.905 O
0.562 0.372 0.095 O
0.943 0.723 0.412 O
0.043 0.266 0.911 F
0.063 0.241 0.257 F
0.451 0.857 0.259 F
0.455 0.826 0.581 F
0.545 0.326 0.419 F
0.549 0.357 0.741 F
0.937 0.741 0.743 F
0.957 0.766 0.089 F
```

The value obtained for the raw total energy is -5.2588 eV/atom. As for the energy above the lowest structure with this stoichiometry: 37 meV per atom. The energy of formation from the pure elements is -1.84 eV per atom.

Computed, not measured: a relaxed MgCu2W2O8 crystal at the PBE with a Hubbard U level of DFT.

Structure (POSCAR):
```
MgCu2W2O8
1.0
6.677 0.000 0.000
0.000 8.658 0.000
-0.446 0.000 12.679
Mg Cu W O
4 8 8 32
Direct
0.110 0.162 0.053 Mg
0.110 0.338 0.553 Mg
0.890 0.662 0.447 Mg
0.890 0.838 0.947 Mg
0.230 0.685 0.633 Cu
0.230 0.815 0.133 Cu
0.376 0.052 0.618 Cu
0.376 0.448 0.118 Cu
0.624 0.552 0.882 Cu
0.624 0.948 0.382 Cu
0.770 0.185 0.867 Cu
0.770 0.315 0.367 Cu
0.097 0.044 0.344 W
0.097 0.456 0.844 W
0.388 0.578 0.370 W
0.388 0.922 0.870 W
0.612 0.078 0.130 W
0.612 0.422 0.630 W
0.903 0.544 0.156 W
0.903 0.956 0.656 W
0.044 0.235 0.404 O
0.044 0.265 0.904 O
0.079 0.109 0.614 O
0.079 0.391 0.114 O
0.119 0.051 0.201 O
0.119 0.449 0.701 O
0.179 0.568 0.464 O
0.179 0.932 0.964 O
0.298 0.629 0.237 O
0.298 0.871 0.737 O
0.340 0.513 0.898 O
0.340 0.987 0.398 O
0.411 0.207 0.083 O
0.411 0.293 0.583 O
0.495 0.111 0.864 O
0.495 0.389 0.364 O
0.505 0.611 0.636 O
0.505 0.889 0.136 O
0.589 0.707 0.417 O
0.589 0.793 0.917 O
0.660 0.013 0.602 O
0.660 0.487 0.102 O
0.702 0.129 0.263 O
0.702 0.371 0.763 O
0.821 0.068 0.036 O
0.821 0.432 0.536 O
0.881 0.551 0.299 O
0.881 0.949 0.799 O
0.921 0.609 0.886 O
0.921 0.891 0.386 O
0.956 0.735 0.096 O
0.956 0.765 0.596 O
```

The value obtained for the raw total energy is -6.5335 eV/atom. As for the energy above the lowest structure with this stoichiometry: 51 meV per atom. The energy of formation from the pure elements is -1.85 eV per atom.

Computed, not measured: a relaxed LiV3O4 crystal at the PBE with a Hubbard U level of DFT.

Structure (POSCAR):
```
LiV3O4
1.0
0.000 0.000 -4.333
6.341 -4.202 -2.166
-2.166 -4.278 2.167
Li V O
2 6 8
Direct
0.000 0.000 0.000 Li
0.500 0.500 0.500 Li
0.750 0.750 0.250 V
0.631 0.118 0.380 V
0.869 0.382 0.120 V
0.250 0.250 0.750 V
0.131 0.618 0.880 V
0.369 0.882 0.620 V
0.500 0.000 0.000 O
0.000 0.500 0.500 O
0.750 0.250 0.750 O
0.250 0.750 0.250 O
0.620 0.633 0.874 O
0.120 0.133 0.374 O
0.380 0.367 0.126 O
0.880 0.867 0.626 O
```

The value obtained for the raw total energy is -7.4229 eV/atom. As for the energy above the lowest structure with this stoichiometry: 4 meV per atom. The energy of formation from the pure elements is -2.28 eV per atom.

Computed, not measured: a relaxed Ba2LiY2Fe4O10 crystal at the PBE with a Hubbard U level of DFT.

Structure (POSCAR):
```
Ba2LiY2Fe4O10
1.0
3.876 0.000 0.000
0.087 8.179 0.000
0.244 0.814 8.379
Ba Li Y Fe O
2 1 2 4 10
Direct
0.000 0.000 0.000 Ba
0.003 0.906 0.504 Ba
0.247 0.563 0.681 Li
0.937 0.430 0.442 Y
0.990 0.451 0.996 Y
0.476 0.679 0.232 Fe
0.477 0.235 0.726 Fe
0.478 0.193 0.240 Fe
0.529 0.758 0.832 Fe
0.005 0.361 0.727 O
0.026 0.716 0.799 O
0.458 0.261 0.461 O
0.458 0.617 0.488 O
0.490 0.239 0.996 O
0.491 0.959 0.257 O
0.492 0.583 0.009 O
0.525 0.990 0.740 O
0.975 0.268 0.228 O
0.978 0.627 0.230 O
```

The value obtained for the raw total energy is -6.9610 eV/atom. As for the energy above the lowest structure with this stoichiometry: 8 meV per atom. The energy of formation from the pure elements is -2.43 eV per atom.

Computed, not measured: a relaxed MnH6SO6 crystal at the PBE with a Hubbard U level of DFT.

Structure (POSCAR):
```
MnH6SO6
1.0
5.844 0.000 0.000
0.000 9.822 0.000
0.000 0.000 9.956
Mn H S O
4 24 4 24
Direct
0.232 0.176 0.206 Mn
0.268 0.824 0.706 Mn
0.732 0.324 0.794 Mn
0.768 0.676 0.294 Mn
0.000 0.260 0.461 H
0.000 0.760 0.039 H
0.016 0.396 0.370 H
0.021 0.106 0.636 H
0.111 0.971 0.400 H
0.119 0.026 0.899 H
0.192 0.692 0.892 H
0.308 0.308 0.392 H
0.381 0.974 0.399 H
0.389 0.029 0.900 H
0.479 0.894 0.136 H
0.484 0.604 0.870 H
0.500 0.240 0.539 H
0.500 0.740 0.961 H
0.516 0.104 0.630 H
0.521 0.394 0.364 H
0.611 0.529 0.600 H
0.619 0.474 0.101 H
0.692 0.808 0.108 H
0.808 0.192 0.608 H
0.881 0.526 0.601 H
0.889 0.471 0.100 H
0.979 0.606 0.864 H
0.984 0.896 0.130 H
0.236 0.340 0.934 S
0.264 0.660 0.434 S
0.736 0.160 0.066 S
0.764 0.840 0.566 S
0.020 0.419 0.888 O
0.024 0.702 0.877 O
0.029 0.295 0.368 O
0.054 0.573 0.387 O
0.236 0.359 0.089 O
0.244 0.018 0.362 O
0.256 0.982 0.862 O
0.264 0.641 0.589 O
0.446 0.427 0.887 O
0.471 0.705 0.868 O
0.476 0.298 0.377 O
0.480 0.581 0.388 O
0.520 0.081 0.112 O
0.524 0.798 0.123 O
0.529 0.205 0.632 O
0.554 0.927 0.613 O
0.736 0.141 0.911 O
0.744 0.482 0.638 O
0.756 0.518 0.138 O
0.764 0.859 0.411 O
0.946 0.073 0.113 O
0.971 0.795 0.132 O
0.976 0.202 0.623 O
0.980 0.919 0.612 O
```

The value obtained for the raw total energy is -5.5499 eV/atom. As for the energy above the lowest structure with this stoichiometry: 42 meV per atom. The energy of formation from the pure elements is -1.44 eV per atom.

Computed, not measured: a relaxed RbVP2O7 crystal at the PBE with a Hubbard U level of DFT.

Structure (POSCAR):
```
RbVP2O7
1.0
7.654 0.000 0.000
0.000 10.232 0.000
-2.309 0.000 8.082
Rb V P O
4 4 8 28
Direct
0.187 0.185 0.052 Rb
0.187 0.315 0.552 Rb
0.813 0.685 0.448 Rb
0.813 0.815 0.948 Rb
0.239 0.601 0.259 V
0.239 0.899 0.759 V
0.761 0.101 0.241 V
0.761 0.399 0.741 V
0.132 0.597 0.830 P
0.132 0.903 0.330 P
0.435 0.632 0.688 P
0.435 0.868 0.188 P
0.565 0.132 0.812 P
0.565 0.368 0.312 P
0.868 0.097 0.670 P
0.868 0.403 0.170 P
0.006 0.002 0.775 O
0.006 0.498 0.275 O
0.087 0.737 0.761 O
0.087 0.763 0.261 O
0.152 0.589 0.013 O
0.152 0.911 0.513 O
0.326 0.603 0.510 O
0.326 0.897 0.010 O
0.327 0.556 0.804 O
0.327 0.944 0.304 O
0.374 0.073 0.766 O
0.374 0.427 0.266 O
0.447 0.723 0.238 O
0.447 0.777 0.738 O
0.553 0.223 0.262 O
0.553 0.277 0.762 O
0.626 0.573 0.734 O
0.626 0.927 0.234 O
0.673 0.056 0.696 O
0.673 0.444 0.196 O
0.674 0.103 0.990 O
0.674 0.397 0.490 O
0.848 0.089 0.487 O
0.848 0.411 0.987 O
0.913 0.237 0.739 O
0.913 0.263 0.239 O
0.994 0.502 0.725 O
0.994 0.998 0.225 O
```

The value obtained for the raw total energy is -7.1956 eV/atom. The energy of formation from the pure elements is -2.74 eV per atom.

Computed, not measured: a relaxed BaTbEuVO6 crystal at the PBE with a Hubbard U level of DFT.

Structure (POSCAR):
```
BaTbEuVO6
1.0
0.000 4.150 4.150
4.150 0.000 4.150
4.150 4.150 0.000
Ba Tb Eu V O
1 1 1 1 6
Direct
0.000 0.000 0.000 Ba
0.750 0.750 0.750 Tb
0.500 0.500 0.500 Eu
0.250 0.250 0.250 V
0.019 0.019 0.481 O
0.019 0.481 0.019 O
0.019 0.481 0.481 O
0.481 0.019 0.019 O
0.481 0.019 0.481 O
0.481 0.481 0.019 O
```

The value obtained for the raw total energy is -8.1148 eV/atom. As for the energy above the lowest structure with this stoichiometry: 0 meV per atom. The energy of formation from the pure elements is -3.14 eV per atom.

Computed, not measured: a relaxed MgFe6O6F6 crystal at the PBE with a Hubbard U level of DFT.

Structure (POSCAR):
```
MgFe6O6F6
1.0
3.063 0.000 0.000
-0.004 5.073 0.000
-0.007 -1.599 14.476
Mg Fe O F
1 6 6 6
Direct
0.000 0.000 0.000 Mg
0.000 0.498 0.992 Fe
0.002 0.546 0.339 Fe
0.003 0.515 0.663 Fe
0.501 0.930 0.183 Fe
0.502 0.017 0.813 Fe
0.503 0.035 0.499 Fe
0.001 0.766 0.233 O
0.500 0.762 0.053 O
0.501 0.228 0.951 O
0.503 0.323 0.590 O
0.503 0.713 0.400 O
0.503 0.721 0.714 O
0.001 0.178 0.128 F
0.001 0.766 0.885 F
0.003 0.203 0.426 F
0.003 0.255 0.763 F
0.003 0.848 0.554 F
0.502 0.288 0.277 F
```

The value obtained for the raw total energy is -5.9500 eV/atom. As for the energy above the lowest structure with this stoichiometry: 45 meV per atom. The energy of formation from the pure elements is -2.10 eV per atom.

Computed, not measured: a relaxed MgW2Br4O4 crystal at the PBE with a Hubbard U level of DFT.

Structure (POSCAR):
```
MgW2Br4O4
1.0
3.910 0.000 0.000
0.138 7.872 0.000
0.008 0.128 9.188
Mg W Br O
1 2 4 4
Direct
0.000 0.000 0.000 Mg
0.494 0.271 0.159 W
0.511 0.760 0.174 W
0.503 0.266 0.428 Br
0.506 0.792 0.871 Br
0.519 0.772 0.442 Br
0.522 0.258 0.870 Br
0.002 0.256 0.144 O
0.008 0.799 0.148 O
0.502 0.017 0.136 O
0.509 0.524 0.158 O
```

The value obtained for the raw total energy is -5.3357 eV/atom. As for the energy above the lowest structure with this stoichiometry: 0 meV per atom. The energy of formation from the pure elements is -1.50 eV per atom.

Please write out number 3 again, unchanged.
Computed, not measured: a relaxed MgCu2W2O8 crystal at the PBE with a Hubbard U level of DFT.

Structure (POSCAR):
```
MgCu2W2O8
1.0
6.677 0.000 0.000
0.000 8.658 0.000
-0.446 0.000 12.679
Mg Cu W O
4 8 8 32
Direct
0.110 0.162 0.053 Mg
0.110 0.338 0.553 Mg
0.890 0.662 0.447 Mg
0.890 0.838 0.947 Mg
0.230 0.685 0.633 Cu
0.230 0.815 0.133 Cu
0.376 0.052 0.618 Cu
0.376 0.448 0.118 Cu
0.624 0.552 0.882 Cu
0.624 0.948 0.382 Cu
0.770 0.185 0.867 Cu
0.770 0.315 0.367 Cu
0.097 0.044 0.344 W
0.097 0.456 0.844 W
0.388 0.578 0.370 W
0.388 0.922 0.870 W
0.612 0.078 0.130 W
0.612 0.422 0.630 W
0.903 0.544 0.156 W
0.903 0.956 0.656 W
0.044 0.235 0.404 O
0.044 0.265 0.904 O
0.079 0.109 0.614 O
0.079 0.391 0.114 O
0.119 0.051 0.201 O
0.119 0.449 0.701 O
0.179 0.568 0.464 O
0.179 0.932 0.964 O
0.298 0.629 0.237 O
0.298 0.871 0.737 O
0.340 0.513 0.898 O
0.340 0.987 0.398 O
0.411 0.207 0.083 O
0.411 0.293 0.583 O
0.495 0.111 0.864 O
0.495 0.389 0.364 O
0.505 0.611 0.636 O
0.505 0.889 0.136 O
0.589 0.707 0.417 O
0.589 0.793 0.917 O
0.660 0.013 0.602 O
0.660 0.487 0.102 O
0.702 0.129 0.263 O
0.702 0.371 0.763 O
0.821 0.068 0.036 O
0.821 0.432 0.536 O
0.881 0.551 0.299 O
0.881 0.949 0.799 O
0.921 0.609 0.886 O
0.921 0.891 0.386 O
0.956 0.735 0.096 O
0.956 0.765 0.596 O
```

The value obtained for the raw total energy is -6.5335 eV/atom. As for the energy above the lowest structure with this stoichiometry: 51 meV per atom. The energy of formation from the pure elements is -1.85 eV per atom.